1.
DFT (GGA-PBE) results for an optimized crystal structure of K49Tl108.

Summary:
The total energy comes out at -2.090 eV/atom.

Unit cell a=17.7796 b=17.7796 c=17.7796 alpha=90.00 beta=90.00 gamma=90.00
With the nearest neighbours (Å) after each atom.
Space group Pm-3 (No. 200)
One atom of each set of equivalent atoms:
K (0.0000, 0.0000, 0.5000) (multiplicity 3)  6 Tl 3.98-4.24, 4 K 4.36
K (0.0000, 0.2949, 0.1346) (multiplicity 12)  9 Tl 3.62-3.98, 2 K 3.98
K (0.0000, 0.5000, 0.2709) (multiplicity 6)  8 Tl 3.76-3.82, 2 K 3.95
K (0.1896, 0.1896, 0.1896) (multiplicity 8)  4 K 3.79-3.98, 12 Tl 3.86-4.15
K (0.1950, 0.5000, 0.3772) (multiplicity 12)  9 Tl 3.74-4.08, 3 K 3.95-4.10
K (0.3127, 0.3127, 0.3127) (multiplicity 8)  12 Tl 3.79-4.07, 4 K 3.79-4.10
Tl (0.0000, 0.0908, 0.1513) (multiplicity 12)  6 Tl 3.23-3.32
Tl (0.0000, 0.1593, 0.3228) (multiplicity 12)  6 Tl 3.28-3.37
Tl (0.0000, 0.2237, 0.5000) (multiplicity 6)  7 Tl 3.28-3.57
Tl (0.0000, 0.4083, 0.5000) (multiplicity 6)  4 Tl 3.26-3.54
Tl (0.0920, 0.3214, 0.3372) (multiplicity 24)  5 Tl 3.27-3.61
Tl (0.1658, 0.4084, 0.1692) (multiplicity 24)  6 Tl 3.26-3.61, 1 K 3.62
Tl (0.1815, 0.3261, 0.5000) (multiplicity 12)  6 Tl 3.29-3.54
Tl (0.3490, 0.4078, 0.5000) (multiplicity 12)  6 Tl 3.28-3.32


2.
DFT (GGA-PBE) results for an optimized crystal structure of NaMgGa3S6O24.

Summary:
The total energy comes out at -6.022 eV/atom.

Unit cell a=8.4973 b=8.4973 c=22.0848 alpha=90.00 beta=90.00 gamma=120.00
With the nearest neighbours (Å) after each atom.
Space group P3 (No. 143)
One atom of each set of equivalent atoms:
Na (0.0000, 0.0000, 0.0000) (multiplicity 1)  6 O 2.52-2.55
Na (0.0000, 0.0000, 0.4992) (multiplicity 1)  6 O 2.53
Na (0.3333, 0.6667, 0.1652) (multiplicity 1)  6 O 2.52-2.55
Mg (0.0000, 0.0000, 0.1468) (multiplicity 1)  6 O 2.00-2.03
Mg (0.3333, 0.6667, 0.0182) (multiplicity 1)  6 O 2.00-2.03
Mg (0.3333, 0.6667, 0.5204) (multiplicity 1)  6 O 2.01-2.02
Ga (0.0000, 0.0000, 0.3494) (multiplicity 1)  6 O 1.96-2.01
Ga (0.0000, 0.0000, 0.6481) (multiplicity 1)  6 O 1.96-2.01
Ga (0.0000, 0.0000, 0.8501) (multiplicity 1)  6 O 1.96-2.00
Ga (0.3333, 0.6667, 0.3158) (multiplicity 1)  6 O 1.96-2.01
Ga (0.3333, 0.6667, 0.8133) (multiplicity 1)  6 O 1.98-1.99
Ga (0.6667, 0.3333, 0.1860) (multiplicity 1)  6 O 1.96-1.98
Ga (0.6667, 0.3333, 0.4793) (multiplicity 1)  6 O 1.98
Ga (0.6667, 0.3333, 0.6858) (multiplicity 1)  6 O 1.96-1.98
Ga (0.6667, 0.3333, 0.9791) (multiplicity 1)  6 O 1.96-1.99
S (0.0002, 0.2915, 0.7492) (multiplicity 3)  4 O 1.47-1.49
S (0.9997, 0.7080, 0.2490) (multiplicity 3)  4 O 1.46-1.50
S (0.0416, 0.3753, 0.4163) (multiplicity 3)  4 O 1.46-1.50
S (0.0418, 0.6662, 0.9159) (multiplicity 3)  4 O 1.46-1.50
S (0.3774, 0.3336, 0.5831) (multiplicity 3)  4 O 1.44-1.50
S (0.3781, 0.0447, 0.0826) (multiplicity 3)  4 O 1.47-1.49
O (0.0226, 0.1912, 0.4080) (multiplicity 3)  1 S 1.50
O (0.0228, 0.8316, 0.9079) (multiplicity 3)  1 S 1.50
O (0.0350, 0.8213, 0.1955) (multiplicity 3)  1 S 1.46
O (0.0356, 0.2113, 0.6947) (multiplicity 3)  1 S 1.49
O (0.1202, 0.4871, 0.3607) (multiplicity 3)  1 S 1.49
O (0.1212, 0.6334, 0.8606) (multiplicity 3)  1 S 1.49
O (0.1336, 0.6418, 0.5752) (multiplicity 3)  1 S 1.44
O (0.1350, 0.4962, 0.0762) (multiplicity 3)  1 S 1.47
O (0.1550, 0.4534, 0.4697) (multiplicity 3)  1 S 1.46
O (0.1546, 0.7017, 0.9695) (multiplicity 3)  1 S 1.46
O (0.1633, 0.4716, 0.7575) (multiplicity 3)  1 S 1.47
O (0.1650, 0.6894, 0.2572) (multiplicity 3)  1 S 1.50
O (0.1939, 0.1657, 0.5900) (multiplicity 3)  1 S 1.50
O (0.1984, 0.0279, 0.0889) (multiplicity 3)  1 S 1.47
O (0.2112, 0.0353, 0.8037) (multiplicity 3)  1 S 1.49
O (0.2129, 0.1794, 0.3044) (multiplicity 3)  1 S 1.49
O (0.4551, 0.2949, 0.5282) (multiplicity 3)  1 S 1.49
O (0.4587, 0.1586, 0.0275) (multiplicity 3)  1 S 1.49
O (0.4714, 0.1629, 0.7410) (multiplicity 3)  1 S 1.47
O (0.4736, 0.3108, 0.2419) (multiplicity 3)  1 S 1.48
O (0.4901, 0.3637, 0.6379) (multiplicity 3)  1 S 1.48
O (0.4919, 0.1254, 0.1376) (multiplicity 3)  1 S 1.49
O (0.4963, 0.1403, 0.4234) (multiplicity 3)  1 S 1.48
O (0.4960, 0.3560, 0.9231) (multiplicity 3)  1 S 1.48


3.
DFT (GGA-PBE) results for an optimized crystal structure of Cs2PdI2Br4.

Summary:
The total energy comes out at -2.794 eV/atom.

Unit cell a=8.6987 b=8.6987 c=9.1320 alpha=90.00 beta=90.00 gamma=90.00
With the nearest neighbours (Å) after each atom.
Space group I4/mmm (No. 139)
One atom of each set of equivalent atoms:
Cs (0.0000, 0.5000, 0.2500) (multiplicity 4)  8 Br 3.88
Pd (0.0000, 0.0000, 0.0000) (multiplicity 2)  4 Br 2.48
I (0.0000, 0.0000, 0.3424) (multiplicity 4)  1 I 2.88, 1 Pd 3.13
Br (0.2018, 0.2018, 0.0000) (multiplicity 8)  1 Pd 2.48


4.
DFT (GGA-PBE) results for an optimized crystal structure of Cd5Bi6Cl12O8.

Summary:
The total energy comes out at -4.066 eV/atom.

Unit cell a=5.5560 b=11.1140 c=21.5179 alpha=90.00 beta=90.00 gamma=90.00
With the nearest neighbours (Å) after each atom.
Space group Immm (No. 71)
One atom of each set of equivalent atoms:
Cd (0.0000, 0.0000, 0.0000) (multiplicity 2)  6 Cl 2.60-2.78
Cd (0.0000, 0.2310, 0.5000) (multiplicity 4)  5 Cl 2.57-2.81
Cd (0.0000, 0.5000, 0.3048) (multiplicity 4)  4 O 2.33
Bi (0.0000, 0.0000, 0.3053) (multiplicity 4)  4 O 2.30
Bi (0.0000, 0.2542, 0.1932) (multiplicity 8)  4 O 2.29-2.30
Cl (0.0000, 0.0000, 0.1240) (multiplicity 4)  1 Cd 2.67
Cl (0.0000, 0.0000, 0.5000) (multiplicity 2)  2 Cd 2.57
Cl (0.0000, 0.2336, 0.0000) (multiplicity 4)  3 Cd 2.60-2.81
Cl (0.0000, 0.2634, 0.3811) (multiplicity 8)  1 Cd 2.58
Cl (0.0000, 0.5000, 0.1274) (multiplicity 4)  4 Bi 3.08-3.13, 4 O 3.32
Cl (0.0000, 0.5000, 0.5000) (multiplicity 2)  4 Cd 2.78-2.99
O (0.2438, 0.1281, 0.2500) (multiplicity 16)  3 Bi 2.29-2.30, 1 Cd 2.33